(1)
! TaSiH33C11N5Cl | Materials Project | PBE | optimized geometry; values from VASP
&SYSTEM
  ibrav = 0, nat = 208, ntyp = 6
/
ATOMIC_SPECIES
Cl 35.45 Cl.upf
Si 28.09 Si.upf
H 1.01 H.upf
C 12.01 C.upf
N 14.01 N.upf
Ta 180.95 Ta.upf
ATOMIC_POSITIONS crystal
Cl 0.5183 0.0401 0.3011
Cl 0.9817 0.5401 0.1989
Cl 0.4817 0.9599 0.6989
Cl 0.0183 0.4599 0.8011
Si 0.8267 0.1764 0.8266
Si 0.3267 0.3236 0.3266
Si 0.6733 0.6764 0.6734
Si 0.1733 0.8236 0.1734
H 0.1630 0.9727 0.0745
H 0.1130 0.2575 0.2647
H 0.3370 0.4727 0.4255
H 0.4076 0.0948 0.4236
H 0.0229 0.6535 0.3324
H 0.7581 0.6284 0.5435
H 0.3883 0.3529 0.1877
H 0.1120 0.9936 0.6378
H 0.6797 0.0501 0.8698
H 0.6504 0.8087 0.5128
H 0.0306 0.2473 0.6053
H 0.5205 0.6106 0.0872
H 0.2290 0.1680 0.6421
H 0.8166 0.9881 0.1161
H 0.5991 0.5310 0.7534
H 0.7976 0.5927 0.9834
H 0.6038 0.1289 0.1119
H 0.6906 0.7113 0.3472
H 0.6107 0.6273 0.1889
H 0.2710 0.6680 0.8579
H 0.7523 0.5777 0.7997
H 0.4451 0.1204 0.8847
H 0.1315 0.5926 0.5299
H 0.7340 0.3339 0.7518
H 0.9092 0.2774 0.4505
H 0.5908 0.7774 0.0495
H 0.8370 0.0273 0.9255
H 0.3893 0.3727 0.8111
H 0.5199 0.6594 0.4690
H 0.7710 0.8320 0.3579
H 0.4835 0.1132 0.5293
H 0.3870 0.7575 0.2353
H 0.0549 0.6204 0.6153
H 0.6247 0.3614 0.4900
H 0.8880 0.0064 0.3622
H 0.7477 0.0777 0.7003
H 0.3733 0.4066 0.0307
H 0.2419 0.3716 0.4565
H 0.7144 0.4876 0.0197
H 0.4771 0.1535 0.1676
H 0.1657 0.6982 0.7637
H 0.3496 0.1913 0.4872
H 0.2523 0.9223 0.2997
H 0.4801 0.3406 0.5310
H 0.8343 0.3018 0.2363
H 0.1834 0.0119 0.8839
H 0.2477 0.4223 0.2003
H 0.2856 0.5124 0.9803
H 0.6315 0.9074 0.0299
H 0.3753 0.6386 0.5100
H 0.6130 0.2425 0.7647
H 0.8809 0.7637 0.9337
H 0.3343 0.1982 0.7363
H 0.3962 0.8711 0.8881
H 0.1107 0.8727 0.6889
H 0.8188 0.8235 0.6516
H 0.9451 0.3796 0.3847
H 0.2144 0.0124 0.5197
H 0.0165 0.6132 0.9707
H 0.1797 0.4499 0.3698
H 0.3848 0.5716 0.7116
H 0.3203 0.9499 0.1302
H 0.1906 0.7887 0.8472
H 0.7024 0.0927 0.5166
H 0.8203 0.5501 0.6302
H 0.8753 0.8614 0.0100
H 0.0991 0.9690 0.2534
H 0.1504 0.6913 0.0128
H 0.9009 0.0310 0.7466
H 0.1267 0.9066 0.4693
H 0.7238 0.9741 0.1963
H 0.0199 0.8406 0.9690
H 0.4092 0.2226 0.9505
H 0.1152 0.0716 0.7884
H 0.1038 0.3711 0.6119
H 0.9076 0.4052 0.9236
H 0.2024 0.4073 0.0166
H 0.2581 0.8716 0.0435
H 0.8870 0.7425 0.7353
H 0.0908 0.7226 0.5495
H 0.3166 0.5119 0.6161
H 0.3809 0.7363 0.4337
H 0.4795 0.3894 0.9128
H 0.8685 0.4074 0.4701
H 0.8496 0.3087 0.9872
H 0.6191 0.2637 0.5663
H 0.0924 0.5948 0.0764
H 0.6834 0.4881 0.3839
H 0.6812 0.3235 0.8484
H 0.4694 0.7473 0.8947
H 0.2976 0.9073 0.4834
H 0.3188 0.6765 0.1516
H 0.6152 0.4284 0.2884
H 0.3880 0.4936 0.8622
H 0.6120 0.5064 0.1378
H 0.7419 0.1284 0.9565
H 0.9801 0.1594 0.0310
H 0.3685 0.0926 0.9701
H 0.2238 0.5259 0.6963
H 0.2660 0.6661 0.2482
H 0.7660 0.8339 0.7482
H 0.2340 0.1661 0.2518
H 0.1812 0.1765 0.3484
H 0.9835 0.3868 0.0293
H 0.0205 0.8894 0.5872
H 0.9795 0.1106 0.4128
H 0.6267 0.5934 0.9693
H 0.8962 0.6289 0.3881
H 0.8893 0.1273 0.3111
H 0.8733 0.0934 0.5307
H 0.8883 0.1471 0.6877
H 0.8848 0.9284 0.2116
H 0.1247 0.1386 0.9900
H 0.6657 0.8018 0.2637
H 0.7856 0.9876 0.4803
H 0.5165 0.8868 0.4707
H 0.9771 0.3465 0.6676
H 0.3094 0.2887 0.6528
H 0.9694 0.7527 0.3947
H 0.8094 0.2113 0.1528
H 0.1117 0.8529 0.3123
H 0.5306 0.2527 0.1053
H 0.4009 0.4690 0.2466
H 0.7290 0.3320 0.1421
H 0.5229 0.8465 0.8324
H 0.7762 0.4741 0.3037
H 0.1191 0.2363 0.0663
H 0.6630 0.5273 0.5745
H 0.2762 0.0259 0.8037
H 0.6117 0.6471 0.8123
H 0.5549 0.8796 0.1153
H 0.5924 0.9052 0.5764
C 0.5647 0.8482 0.5273
C 0.2622 0.2304 0.6866
C 0.2975 0.7207 0.2046
C 0.9359 0.8034 0.9878
C 0.6116 0.5907 0.1285
C 0.2328 0.9122 0.0973
C 0.3440 0.3986 0.2315
C 0.7025 0.2793 0.7954
C 0.1116 0.9093 0.6285
C 0.2035 0.0639 0.8341
C 0.8440 0.1014 0.7315
C 0.7965 0.9361 0.1659
C 0.9385 0.6877 0.3522
C 0.2378 0.7304 0.8134
C 0.7622 0.2696 0.1866
C 0.0615 0.3123 0.6478
C 0.7035 0.4361 0.3341
C 0.6259 0.8500 0.0791
C 0.1259 0.6500 0.5791
C 0.6560 0.6014 0.7685
C 0.7845 0.0724 0.4875
C 0.7975 0.7793 0.7046
C 0.5641 0.3034 0.5122
C 0.5615 0.1877 0.1478
C 0.9353 0.3482 0.9727
C 0.0641 0.1966 0.0122
C 0.7328 0.5878 0.5973
C 0.1560 0.8986 0.2685
C 0.7672 0.0878 0.9027
C 0.4385 0.8123 0.8522
C 0.2845 0.4276 0.9875
C 0.0647 0.6518 0.0273
C 0.3741 0.1500 0.9209
C 0.7378 0.7696 0.3134
C 0.2155 0.9276 0.5125
C 0.8884 0.0907 0.3715
C 0.2672 0.4122 0.4027
C 0.4353 0.1518 0.4727
C 0.2965 0.5639 0.6659
C 0.8741 0.3500 0.4209
C 0.3884 0.4093 0.8715
C 0.2025 0.2207 0.2954
C 0.4359 0.6966 0.4878
C 0.7155 0.5724 0.0125
N 0.5201 0.7270 0.6341
N 0.7506 0.8363 0.1317
N 0.7215 0.6223 0.0920
N 0.7785 0.1223 0.4080
N 0.2506 0.6637 0.6317
N 0.6551 0.2234 0.2184
N 0.1551 0.2766 0.7184
N 0.3449 0.7766 0.7816
N 0.4763 0.7728 0.5540
N 0.7494 0.3363 0.3683
N 0.2785 0.3777 0.9080
N 0.9799 0.2270 0.8659
N 0.2215 0.8777 0.5920
N 0.0201 0.7730 0.1341
N 0.8449 0.7234 0.2816
N 0.9763 0.7272 0.0540
N 0.2494 0.1637 0.8683
N 0.0237 0.2728 0.9460
N 0.4799 0.2730 0.3659
N 0.5237 0.2272 0.4460
Ta 0.6416 0.2082 0.3396
Ta 0.8584 0.7082 0.1604
Ta 0.1416 0.2918 0.8396
Ta 0.3584 0.7918 0.6604
CELL_PARAMETERS angstrom
-7.6413 6.6608 3.0905
-4.4680 -8.9608 8.2656
11.7910 3.9679 10.6753
! spin magnetization	0.00	μB/cell
! symmetry	P2_1/c, No. 14
! ΔH_f (0 K)	-0.214	eV per atom
! volume	10.7	Å³/atom

(2)
! TiSi3H30C10N4Cl2 | Materials Project | PBE | optimized geometry; values from VASP
&SYSTEM
  ibrav = 0, nat = 100, ntyp = 6
/
ATOMIC_SPECIES
H 1.01 H.upf
C 12.01 C.upf
N 14.01 N.upf
Si 28.09 Si.upf
Ti 47.87 Ti.upf
Cl 35.45 Cl.upf
ATOMIC_POSITIONS crystal
H 0.2051 0.4249 0.5375
H 0.6572 0.0186 0.3608
H 0.7098 0.0727 0.0379
H 0.3752 0.8510 0.2852
H 0.2245 0.7543 0.3475
H 0.5119 0.5005 0.6696
H 0.6043 0.8879 0.7229
H 0.9608 0.9423 0.2783
H 0.7639 0.9470 0.8807
H 0.6894 0.7813 0.9282
H 0.3428 0.9814 0.6392
H 0.8815 0.5192 0.5725
H 0.0596 0.1265 0.4947
H 0.4003 0.2547 0.3561
H 0.4470 0.5486 0.0948
H 0.9404 0.8735 0.5053
H 0.0800 0.0700 0.8591
H 0.7165 0.1985 0.3576
H 0.0193 0.3468 0.5035
H 0.3487 0.6573 0.0490
H 0.4160 0.0042 0.8722
H 0.1690 0.8880 0.5839
H 0.8310 0.1120 0.4161
H 0.2361 0.0530 0.1193
H 0.7949 0.5751 0.4625
H 0.5530 0.4514 0.9052
H 0.5268 0.7211 0.7673
H 0.6248 0.1490 0.7148
H 0.5477 0.6774 0.3514
H 0.3957 0.1121 0.2771
H 0.4868 0.2757 0.8726
H 0.2902 0.9273 0.9621
H 0.1869 0.1030 0.4124
H 0.4523 0.3226 0.6486
H 0.2139 0.1497 0.7760
H 0.2450 0.2069 0.5283
H 0.4881 0.4995 0.3304
H 0.6391 0.1740 0.1154
H 0.2835 0.8015 0.6424
H 0.3609 0.8260 0.8846
H 0.5840 0.9958 0.1278
H 0.5997 0.7453 0.6439
H 0.7755 0.2457 0.6525
H 0.7947 0.2081 0.7868
H 0.9200 0.9300 0.1409
H 0.8131 0.8970 0.5876
H 0.9807 0.6532 0.4965
H 0.5920 0.4251 0.5779
H 0.2053 0.7919 0.2132
H 0.7861 0.8503 0.2240
H 0.4732 0.2789 0.2327
H 0.6513 0.3427 0.9510
H 0.8770 0.8481 0.9182
H 0.1185 0.4808 0.4275
H 0.7550 0.7931 0.4717
H 0.5132 0.7243 0.1274
H 0.1230 0.1519 0.0818
H 0.0392 0.0577 0.7217
H 0.4080 0.5749 0.4221
H 0.3106 0.2187 0.0718
C 0.8376 0.8233 0.5382
C 0.7725 0.8438 0.8806
C 0.2497 0.8919 0.6486
C 0.1624 0.1767 0.4618
C 0.6144 0.7853 0.7241
C 0.4154 0.6370 0.1152
C 0.2275 0.1562 0.1194
C 0.8781 0.9411 0.2156
C 0.1233 0.3921 0.4708
C 0.8767 0.6079 0.5292
C 0.2755 0.7652 0.2739
C 0.5475 0.4132 0.6539
C 0.6761 0.0851 0.1154
C 0.4525 0.5868 0.3461
C 0.1219 0.0589 0.7844
C 0.3856 0.2147 0.2759
C 0.3239 0.9149 0.8846
C 0.7245 0.2348 0.7261
C 0.5846 0.3630 0.8848
C 0.7503 0.1081 0.3514
N 0.7536 0.7905 0.7738
N 0.8426 0.7045 0.5955
N 0.1574 0.2955 0.4045
N 0.1701 0.4647 0.2243
N 0.9691 0.2414 0.2078
N 0.0309 0.7586 0.7922
N 0.2464 0.2095 0.2262
N 0.8299 0.5353 0.7757
Si 0.1434 0.2995 0.2708
Si 0.3230 0.6103 0.2385
Si 0.8566 0.7005 0.7292
Si 0.6770 0.3897 0.7615
Si 0.1791 0.9039 0.7782
Si 0.8209 0.0961 0.2218
Ti 0.9883 0.4086 0.1480
Ti 0.0117 0.5914 0.8520
Cl 0.0356 0.6579 0.0287
Cl 0.8161 0.4749 0.2147
Cl 0.1839 0.5251 0.7853
Cl 0.9644 0.3421 0.9713
CELL_PARAMETERS angstrom
9.9093 0.0000 0.0000
-3.2843 9.8877 0.0000
-1.0585 -0.3797 12.8353
! spin magnetization	0.00	μB/cell
! symmetry	P-1, No. 2
! ΔH_f (0 K)	-0.364	eV per atom
! volume	12.6	Å³/atom